First-principles (PBE-GGA) data for a relaxed ZnB4O7 crystal, as listed in the Materials Project.

Unit cell a=8.2971 b=8.8179 c=13.8906 alpha=90.00 beta=90.00 gamma=90.00
With the nearest neighbours (Å) after each atom.
Space group Pbca (No. 61)
Symmetry-distinct sites (fractional):
Zn1 0.1091 0.1264 0.1198 [8 per cell]  4 O 2.00-2.06
B1 0.0266 0.1432 0.7701 [8 per cell]  3 O 1.35-1.40
B2 0.0311 0.5903 0.1695 [8 per cell]  4 O 1.43-1.57
B3 0.0896 0.6972 0.5637 [8 per cell]  4 O 1.41-1.53
B4 0.1596 0.1446 0.4622 [8 per cell]  3 O 1.35-1.41
O1 0.0173 0.2029 0.2483 [8 per cell]  1 B 1.39
O2 0.0321 0.5894 0.6421 [8 per cell]  2 B 1.40-1.52
O3 0.0575 0.2395 0.9968 [8 per cell]  2 B 1.41-1.53
O4 0.0960 0.0482 0.7061 [8 per cell]  2 B 1.35-1.43
O5 0.1153 0.0622 0.3846 [8 per cell]  2 B 1.35-1.45
O6 0.1541 0.6677 0.1104 [8 per cell]  2 B 1.46-1.48
O7 0.1959 0.6134 0.5045 [8 per cell]  2 B 1.36-1.41

Summary:
* final energy: -7.50 eV/atom
* energy relative to the lowest polymorph listed for this composition: 0 meV per atom
* DFT formation energy: -32.250 eV per formula unit